Here is a geometry-optimized MoCl4 structure from the Materials Project. Energies are from PBE.

Its uncorrected energy is -4.4629 eV per atom. The theoretical density is 2.68 Mg/m³. As for the calculated formation energy: -1.3061 eV/atom.

Lattice parameters (Å, degrees): 12.6467 12.6467 6.3882 90.00 90.00 120.00
Atoms (fractional coordinates):
Mo 0.8279 0.6557 0.0000
Mo 0.1721 0.8279 0.0000
Mo 0.1721 0.3443 0.0000
Mo 0.8279 0.1721 0.0000
Mo 0.3443 0.1721 0.0000
Mo 0.6557 0.8279 0.0000
Cl 0.1712 0.4792 0.7672
Cl 0.0000 0.6739 0.7901
Cl 0.8288 0.3080 0.7672
Cl 0.1720 0.0000 0.8044
Cl 0.8288 0.5208 0.2328
Cl 0.6739 0.6739 0.2099
Cl 0.0000 0.8280 0.1956
Cl 0.0000 0.1720 0.8044
Cl 0.4792 0.1712 0.7672
Cl 0.1712 0.6920 0.2328
Cl 0.3261 0.0000 0.2099
Cl 0.3261 0.3261 0.7901
Cl 0.6920 0.1712 0.2328
Cl 0.3080 0.8288 0.7672
Cl 0.1720 0.1720 0.1956
Cl 0.3080 0.4792 0.2328
Cl 0.6739 0.0000 0.7901
Cl 0.5208 0.6920 0.7672
Cl 0.8280 0.8280 0.8044
Cl 0.4792 0.3080 0.2328
Cl 0.5208 0.8288 0.2328
Cl 0.6920 0.5208 0.7672
Cl 0.8280 0.0000 0.1956
Cl 0.0000 0.3261 0.2099

=====

Here is a geometry-optimized MoN3Cl6 structure from the Materials Project. Energies are from PBE.

Its uncorrected energy is -3.6509 eV per atom. The theoretical density is 1.99 Mg/m³. As for the calculated formation energy: 0.6753 eV/atom. The total moment comes out at 17.99 μB per cell.

Lattice parameters (Å, degrees): 8.9022 8.9022 7.3899 90.00 90.00 90.00
Atoms (fractional coordinates):
Mo 0.5000 0.0000 0.5000
Mo 0.0000 0.5000 0.0000
N 0.5000 0.5000 0.5000
N 0.5000 0.5000 0.0000
N 0.0868 0.7368 0.5000
N 0.9132 0.2632 0.5000
N 0.2632 0.0868 0.0000
N 0.7368 0.9132 0.0000
Cl 0.7499 0.9292 0.5000
Cl 0.2501 0.0708 0.5000
Cl 0.0708 0.7499 0.0000
Cl 0.9292 0.2501 0.0000
Cl 0.4505 0.8227 0.2787
Cl 0.5495 0.1773 0.2787
Cl 0.1773 0.4505 0.7787
Cl 0.8227 0.5495 0.7787
Cl 0.5495 0.1773 0.7213
Cl 0.4505 0.8227 0.7213
Cl 0.8227 0.5495 0.2213
Cl 0.1773 0.4505 0.2213

=====

Here is a geometry-optimized MoS2N2Cl5 structure from the Materials Project. Energies are from PBE.

Its uncorrected energy is -4.8267 eV per atom. The theoretical density is 2.21 Mg/m³. As for the calculated formation energy: -0.6303 eV/atom. The total moment comes out at 0.00 μB per cell.

Lattice parameters (Å, degrees): 7.3477 7.6834 10.2005 75.16 81.33 84.62
Atoms (fractional coordinates):
Mo 0.1943 0.1555 0.2343
Mo 0.8057 0.8445 0.7657
S 0.9686 0.5890 0.0837
S 0.0314 0.4110 0.9163
S 0.3907 0.8086 0.4489
S 0.6093 0.1914 0.5511
N 0.7017 0.0273 0.6489
N 0.0625 0.3863 0.0774
N 0.2983 0.9727 0.3511
N 0.9375 0.6137 0.9226
Cl 0.9047 0.6379 0.6340
Cl 0.5115 0.6465 0.3233
Cl 0.2369 0.0407 0.0411
Cl 0.5291 0.6953 0.8436
Cl 0.7631 0.9593 0.9589
Cl 0.0953 0.3621 0.3660
Cl 0.1024 0.9624 0.7057
Cl 0.4885 0.3535 0.6767
Cl 0.8976 0.0376 0.2943
Cl 0.4709 0.3047 0.1564

=====

Here is a geometry-optimized MoPCl9 structure from the Materials Project. Energies are from PBE.

Its uncorrected energy is -3.7080 eV per atom. The theoretical density is 2.31 Mg/m³. As for the calculated formation energy: -1.2199 eV/atom.

Lattice parameters (Å, degrees): 7.2336 9.2979 9.8369 100.96 96.36 95.70
Atoms (fractional coordinates):
Mo 0.8888 0.3695 0.3297
Mo 0.1112 0.6305 0.6703
P 0.5468 0.1891 0.7790
P 0.4532 0.8109 0.2210
Cl 0.6533 0.8934 0.1288
Cl 0.3467 0.1066 0.8712
Cl 0.2055 0.4842 0.4521
Cl 0.7945 0.5158 0.5479
Cl 0.0814 0.8308 0.5576
Cl 0.9186 0.1692 0.4424
Cl 0.9924 0.7633 0.8652
Cl 0.0076 0.2367 0.1348
Cl 0.1228 0.4244 0.7789
Cl 0.8772 0.5756 0.2211
Cl 0.4260 0.7144 0.7568
Cl 0.5740 0.2856 0.2432
Cl 0.4444 0.1998 0.5890
Cl 0.5556 0.8002 0.4110
Cl 0.7455 0.0594 0.7713
Cl 0.2545 0.9406 0.2287
Cl 0.6514 0.3855 0.8836
Cl 0.3486 0.6145 0.1164